Record 1
This record from Materials Project describes a geometry-optimized Eu2Al3Au6 structure. The functional is PBE-GGA. Values from VASP.

Output
VASP energy = -58.73 eV/f.u.
Total moment = 28.1 μB/cell
SG = R-3c

```
&SYSTEM
  ibrav = 0, nat = 22, ntyp = 3
/
ATOMIC_SPECIES
Eu 151.96 Eu.upf
Al 26.98 Al.upf
Au 196.97 Au.upf
CELL_PARAMETERS angstrom
4.243 2.449 7.353
-4.243 2.449 7.353
0.000 -4.899 7.353
ATOMIC_POSITIONS angstrom
Eu 0.000 0.000 1.962
Eu 0.000 0.000 9.068
Eu 0.000 0.000 12.992
Eu 0.000 0.000 20.097
Al -0.834 -1.444 5.515
Al -0.834 1.444 5.515
Al 1.668 0.000 5.515
Al -1.668 0.000 16.545
Al 0.834 -1.444 16.545
Al 0.834 1.444 16.545
Au -2.577 0.151 7.007
Au -1.666 -2.298 10.683
Au -2.823 0.294 11.376
Au 1.157 -2.307 7.007
Au -1.419 -2.156 15.053
Au 1.157 -2.592 11.376
Au -1.157 2.592 10.683
Au 1.419 2.156 7.007
Au -1.157 2.307 15.053
Au 2.823 -0.294 10.683
Au 1.666 2.298 11.376
Au 2.577 -0.151 15.053
```

Record 2
This record from Materials Project describes a geometry-optimized Na2AlAuF6 structure. The functional is PBE-GGA. Values from VASP.

Output
VASP energy = -45.36 eV/f.u.
Total moment = 0.0 μB/cell
SG = Fm-3m

```
&SYSTEM
  ibrav = 0, nat = 10, ntyp = 4
/
ATOMIC_SPECIES
Na 22.99 Na.upf
Al 26.98 Al.upf
Au 196.97 Au.upf
F 19.00 F.upf
CELL_PARAMETERS angstrom
0.000 4.250 4.250
4.250 0.000 4.250
4.250 4.250 0.000
ATOMIC_POSITIONS angstrom
Na 2.125 2.125 2.125
Na 6.375 6.375 6.375
Al 0.000 0.000 0.000
Au 4.250 4.250 4.250
F 4.250 4.250 1.821
F 4.250 1.821 4.250
F 6.679 4.250 4.250
F 1.821 4.250 4.250
F 4.250 6.679 4.250
F 4.250 4.250 6.679
```

Record 3
This record from Materials Project describes a geometry-optimized Rb2AlAuF6 structure. The functional is PBE-GGA. Values from VASP.

Output
VASP energy = -46.34 eV/f.u.
Total moment = 0.0 μB/cell
SG = Fm-3m

```
&SYSTEM
  ibrav = 0, nat = 10, ntyp = 4
/
ATOMIC_SPECIES
Rb 85.47 Rb.upf
Al 26.98 Al.upf
Au 196.97 Au.upf
F 19.00 F.upf
CELL_PARAMETERS angstrom
0.000 4.366 4.366
4.366 0.000 4.366
4.366 4.366 0.000
ATOMIC_POSITIONS angstrom
Rb 2.183 2.183 2.183
Rb 6.549 6.549 6.549
Al 0.000 0.000 0.000
Au 4.366 4.366 4.366
F 4.366 4.366 1.842
F 4.366 1.842 4.366
F 6.891 4.366 4.366
F 1.842 4.366 4.366
F 4.366 6.891 4.366
F 4.366 4.366 6.891
```

Record 4
This record from Materials Project describes a geometry-optimized GdAl4Ge2Au structure. The functional is PBE-GGA. Values from VASP.

Output
VASP energy = -43.77 eV/f.u.
Total moment = 6.9 μB/cell
SG = R-3m

```
&SYSTEM
  ibrav = 0, nat = 8, ntyp = 4
/
ATOMIC_SPECIES
Gd 157.25 Gd.upf
Al 26.98 Al.upf
Ge 72.64 Ge.upf
Au 196.97 Au.upf
CELL_PARAMETERS angstrom
2.259 1.304 11.210
-2.259 1.304 11.210
0.000 -2.609 11.210
ATOMIC_POSITIONS angstrom
Gd 0.000 0.000 0.000
Al 0.000 0.000 6.489
Al 0.000 0.000 14.006
Al 0.000 0.000 19.623
Al 0.000 0.000 27.140
Ge 0.000 0.000 9.305
Ge 0.000 0.000 24.324
Au 0.000 0.000 16.815
```

Number 3 is which compound?
Rb2AlAuF6

What did the second record say?
This record from Materials Project describes a geometry-optimized Na2AlAuF6 structure. The functional is PBE-GGA. Values from VASP.

Output
VASP energy = -45.36 eV/f.u.
Total moment = 0.0 μB/cell
SG = Fm-3m

```
&SYSTEM
  ibrav = 0, nat = 10, ntyp = 4
/
ATOMIC_SPECIES
Na 22.99 Na.upf
Al 26.98 Al.upf
Au 196.97 Au.upf
F 19.00 F.upf
CELL_PARAMETERS angstrom
0.000 4.250 4.250
4.250 0.000 4.250
4.250 4.250 0.000
ATOMIC_POSITIONS angstrom
Na 2.125 2.125 2.125
Na 6.375 6.375 6.375
Al 0.000 0.000 0.000
Au 4.250 4.250 4.250
F 4.250 4.250 1.821
F 4.250 1.821 4.250
F 6.679 4.250 4.250
F 1.821 4.250 4.250
F 4.250 6.679 4.250
F 4.250 4.250 6.679
```